A | This record from the Materials Project describes a geometry-optimized Na9Cu2O7 structure. The functional is PBE-GGA.

CIF file:
```
data_Na9Cu2O7
_space_group_name_H-M_alt 'P 1'
_space_group_IT_number 1
_cell_length_a 9.903
_cell_length_b 9.903
_cell_length_c 9.903
_cell_angle_alpha 90.00
_cell_angle_beta 90.00
_cell_angle_gamma 90.00
loop_
_space_group_symop_operation_xyz
'x,y,z'
loop_
_atom_site_label
_atom_site_fract_x
_atom_site_fract_y
_atom_site_fract_z
Na1 0.011 0.291 0.836
Na2 0.038 0.784 0.170
Na3 0.070 0.070 0.070
Na4 0.104 0.604 0.896
Na5 0.164 0.511 0.209
Na6 0.170 0.038 0.784
Na7 0.209 0.164 0.511
Na8 0.216 0.670 0.462
Na9 0.235 0.235 0.235
Na10 0.265 0.765 0.735
Na11 0.284 0.330 0.962
Na12 0.291 0.836 0.011
Na13 0.330 0.962 0.284
Na14 0.336 0.489 0.709
Na15 0.396 0.396 0.396
Na16 0.430 0.930 0.570
Na17 0.462 0.216 0.670
Na18 0.489 0.709 0.336
Na19 0.511 0.209 0.164
Na20 0.538 0.716 0.830
Na21 0.570 0.430 0.930
Na22 0.604 0.896 0.104
Na23 0.664 0.989 0.791
Na24 0.670 0.462 0.216
Na25 0.709 0.336 0.489
Na26 0.716 0.830 0.538
Na27 0.735 0.265 0.765
Na28 0.765 0.735 0.265
Na29 0.784 0.170 0.038
Na30 0.791 0.664 0.989
Na31 0.830 0.538 0.716
Na32 0.836 0.011 0.291
Na33 0.896 0.104 0.604
Na34 0.930 0.570 0.430
Na35 0.962 0.284 0.330
Na36 0.989 0.791 0.664
Cu1 0.068 0.932 0.432
Cu2 0.097 0.403 0.597
Cu3 0.403 0.597 0.097
Cu4 0.432 0.068 0.932
Cu5 0.568 0.568 0.568
Cu6 0.597 0.097 0.403
Cu7 0.903 0.903 0.903
Cu8 0.932 0.432 0.068
O1 0.076 0.313 0.076
O2 0.085 0.837 0.910
O3 0.076 0.076 0.313
O4 0.090 0.585 0.663
O5 0.163 0.410 0.415
O6 0.187 0.924 0.576
O7 0.220 0.280 0.720
O8 0.280 0.720 0.220
O9 0.313 0.076 0.076
O10 0.337 0.590 0.915
O11 0.410 0.415 0.163
O12 0.424 0.924 0.813
O13 0.415 0.163 0.410
O14 0.424 0.687 0.576
O15 0.576 0.187 0.924
O16 0.585 0.663 0.090
O17 0.576 0.424 0.687
O18 0.590 0.915 0.337
O19 0.663 0.090 0.585
O20 0.687 0.576 0.424
O21 0.720 0.220 0.280
O22 0.780 0.780 0.780
O23 0.813 0.424 0.924
O24 0.837 0.910 0.085
O25 0.910 0.085 0.837
O26 0.924 0.576 0.187
O27 0.915 0.337 0.590
O28 0.924 0.813 0.424
```

total magnetization: 12.0 μB/cell
space group: No. 198



B | This record from the Materials Project describes a geometry-optimized Na9Cu2O7 structure. The functional is PBE-GGA.

CIF file:
```
data_Na9Cu2O7
_space_group_name_H-M_alt 'P 1'
_space_group_IT_number 1
_cell_length_a 9.536
_cell_length_b 9.926
_cell_length_c 10.220
_cell_angle_alpha 90.00
_cell_angle_beta 90.00
_cell_angle_gamma 90.00
loop_
_space_group_symop_operation_xyz
'x,y,z'
loop_
_atom_site_label
_atom_site_fract_x
_atom_site_fract_y
_atom_site_fract_z
Na1 0.013 0.743 0.131
Na2 0.021 0.162 0.885
Na3 0.071 0.667 0.857
Na4 0.072 0.046 0.153
Na5 0.089 0.514 0.591
Na6 0.154 0.554 0.298
Na7 0.164 0.108 0.482
Na8 0.214 0.774 0.556
Na9 0.224 0.289 0.227
Na10 0.276 0.289 0.727
Na11 0.286 0.774 0.056
Na12 0.336 0.108 0.982
Na13 0.346 0.554 0.798
Na14 0.411 0.514 0.091
Na15 0.428 0.046 0.653
Na16 0.429 0.667 0.357
Na17 0.479 0.162 0.385
Na18 0.487 0.743 0.631
Na19 0.513 0.257 0.131
Na20 0.521 0.838 0.885
Na21 0.571 0.333 0.857
Na22 0.572 0.954 0.153
Na23 0.589 0.486 0.591
Na24 0.654 0.446 0.298
Na25 0.664 0.892 0.482
Na26 0.714 0.226 0.556
Na27 0.724 0.711 0.227
Na28 0.776 0.711 0.727
Na29 0.786 0.226 0.056
Na30 0.836 0.892 0.982
Na31 0.846 0.446 0.798
Na32 0.911 0.486 0.091
Na33 0.928 0.954 0.653
Na34 0.929 0.333 0.357
Na35 0.979 0.838 0.385
Na36 0.987 0.257 0.631
Cu1 0.155 0.396 0.974
Cu2 0.190 0.933 0.806
Cu3 0.310 0.933 0.306
Cu4 0.345 0.396 0.474
Cu5 0.655 0.604 0.974
Cu6 0.690 0.067 0.806
Cu7 0.810 0.067 0.306
Cu8 0.845 0.604 0.474
O1 0.033 0.276 0.086
O2 0.083 0.923 0.964
O3 0.095 0.426 0.797
O4 0.155 0.337 0.444
O5 0.154 0.087 0.707
O6 0.163 0.567 0.062
O7 0.197 0.783 0.298
O8 0.303 0.783 0.798
O9 0.337 0.567 0.562
O10 0.346 0.087 0.207
O11 0.345 0.337 0.944
O12 0.405 0.426 0.297
O13 0.417 0.923 0.464
O14 0.467 0.276 0.586
O15 0.533 0.724 0.086
O16 0.583 0.077 0.964
O17 0.595 0.574 0.797
O18 0.655 0.663 0.444
O19 0.654 0.913 0.707
O20 0.663 0.433 0.062
O21 0.697 0.217 0.298
O22 0.803 0.217 0.798
O23 0.837 0.433 0.562
O24 0.846 0.913 0.207
O25 0.845 0.663 0.944
O26 0.905 0.574 0.297
O27 0.917 0.077 0.464
O28 0.967 0.724 0.586
```

total magnetization: 4.0 μB/cell
space group: No. 29



Question: which arrangement is favored energetically? Ranking from most to least stable: B, A.